Entry 1:
First-principles (PBE) data for an optimized crystal structure of KRuO4, as listed in Materials Project.

Cell: 7.712 7.712 7.712 Å, 136.12 136.12 63.80°
Sites, in units of the cell vectors:
1 K 0.375 0.125 0.250
2 K 0.625 0.875 0.750
3 Ru 0.125 0.375 0.750
4 Ru 0.875 0.625 0.250
5 O 0.089 0.225 0.413
6 O 0.176 0.589 0.364
7 O 0.275 0.188 0.864
8 O 0.312 0.676 0.087
9 O 0.688 0.324 0.913
10 O 0.725 0.812 0.136
11 O 0.824 0.411 0.636
12 O 0.911 0.775 0.587

Computed properties:
Calculated total energy: -6.152 eV/atom

=====

Entry 2:
First-principles (PBE) data for an optimized crystal structure of ZrB12, as listed in Materials Project.

Cell: 5.239 5.239 5.239 Å, 60.00 60.00 60.00°
Sites, in units of the cell vectors:
1 Zr 0.000 0.000 0.000
2 B 0.161 0.500 0.500
3 B 0.161 0.500 0.839
4 B 0.161 0.839 0.500
5 B 0.500 0.161 0.500
6 B 0.500 0.161 0.839
7 B 0.500 0.500 0.161
8 B 0.500 0.500 0.839
9 B 0.500 0.839 0.161
10 B 0.500 0.839 0.500
11 B 0.839 0.161 0.500
12 B 0.839 0.500 0.161
13 B 0.839 0.500 0.500

Computed properties:
Calculated total energy: -7.035 eV/atom

=====

Entry 3:
First-principles (PBE) data for an optimized crystal structure of ErPt, as listed in Materials Project.

Cell: 6.983 4.449 5.606 Å, 90.00 90.00 90.00°
Sites, in units of the cell vectors:
1 Er 0.181 0.250 0.140
2 Er 0.319 0.750 0.640
3 Er 0.681 0.250 0.360
4 Er 0.819 0.750 0.860
5 Pt 0.045 0.250 0.657
6 Pt 0.455 0.750 0.157
7 Pt 0.545 0.250 0.843
8 Pt 0.955 0.750 0.343

Computed properties:
Calculated total energy: -6.628 eV/atom

=====

Entry 4:
First-principles (PBE) data for an optimized crystal structure of Na15Nb11ZnSi18O72, as listed in Materials Project.

Cell: 9.053 9.076 22.567 Å, 90.17 90.02 119.91°
Sites, in units of the cell vectors:
1 Na 0.000 0.000 0.000
2 Na 0.000 0.001 0.509
3 Na 0.020 0.630 0.249
4 Na 0.035 0.335 0.425
5 Na 0.332 0.656 0.841
6 Na 0.336 0.025 0.090
7 Na 0.340 0.675 0.335
8 Na 0.365 0.999 0.758
9 Na 0.369 0.390 0.250
10 Na 0.611 0.980 0.249
11 Na 0.667 0.333 0.675
12 Na 0.667 0.334 0.172
13 Na 0.687 0.663 0.091
14 Na 0.967 0.667 0.592
15 Na 0.975 0.313 0.090
16 Nb 0.000 0.000 0.153
17 Nb 0.000 0.001 0.862
18 Nb 0.333 0.668 0.984
19 Nb 0.334 0.663 0.696
20 Nb 0.338 0.671 0.485
21 Nb 0.661 0.329 0.530
22 Nb 0.665 0.333 0.320
23 Nb 0.666 0.334 0.023
24 Nb 0.672 0.339 0.818
25 Nb 0.999 0.005 0.652
26 Nb 0.999 0.995 0.364
27 Zn 0.334 0.667 0.189
28 Si 0.042 0.664 0.092
29 Si 0.047 0.378 0.589
30 Si 0.287 0.290 0.758
31 Si 0.291 0.003 0.258
32 Si 0.335 0.379 0.092
33 Si 0.335 0.956 0.592
34 Si 0.375 0.042 0.921
35 Si 0.378 0.335 0.424
36 Si 0.621 0.958 0.092
37 Si 0.622 0.668 0.590
38 Si 0.663 0.043 0.424
39 Si 0.666 0.626 0.922
40 Si 0.711 0.000 0.757
41 Si 0.711 0.709 0.258
42 Si 0.954 0.624 0.425
43 Si 0.959 0.334 0.923
44 Si 0.997 0.711 0.755
45 Si 0.998 0.289 0.259
46 O 0.014 0.188 0.317
47 O 0.024 0.839 0.096
48 O 0.026 0.189 0.596
49 O 0.030 0.838 0.812
50 O 0.105 0.616 0.152
51 O 0.140 0.633 0.429
52 O 0.142 0.506 0.645
53 O 0.145 0.506 0.930
54 O 0.159 0.466 0.529
55 O 0.159 0.967 0.595
56 O 0.161 0.187 0.096
57 O 0.164 0.473 0.258
58 O 0.168 0.195 0.815
59 O 0.169 0.987 0.314
60 O 0.172 0.699 0.750
61 O 0.172 0.700 0.036
62 O 0.186 0.169 0.419
63 O 0.188 0.025 0.918
64 O 0.193 0.164 0.700
65 O 0.200 0.032 0.198
66 O 0.299 0.473 0.036
67 O 0.304 0.828 0.534
68 O 0.306 0.478 0.750
69 O 0.308 0.836 0.257
70 O 0.353 0.501 0.428
71 O 0.359 0.868 0.651
72 O 0.360 0.855 0.930
73 O 0.384 0.490 0.152
74 O 0.471 0.159 0.981
75 O 0.473 0.300 0.762
76 O 0.477 0.181 0.261
77 O 0.477 0.311 0.480
78 O 0.493 0.135 0.863
79 O 0.494 0.358 0.364
80 O 0.494 0.640 0.930
81 O 0.494 0.856 0.429
82 O 0.497 0.345 0.081
83 O 0.502 0.644 0.648
84 O 0.504 0.144 0.583
85 O 0.510 0.896 0.152
86 O 0.518 0.833 0.751
87 O 0.525 0.690 0.532
88 O 0.527 0.692 0.257
89 O 0.528 0.828 0.036
90 O 0.639 0.136 0.364
91 O 0.642 0.501 0.866
92 O 0.647 0.500 0.585
93 O 0.655 0.153 0.081
94 O 0.685 0.166 0.762
95 O 0.688 0.532 0.982
96 O 0.696 0.172 0.479
97 O 0.705 0.524 0.262
98 O 0.806 0.975 0.815
99 O 0.813 0.976 0.096
100 O 0.814 0.833 0.594
101 O 0.816 0.833 0.314
102 O 0.819 0.297 0.261
103 O 0.829 0.522 0.762
104 O 0.831 0.023 0.699
105 O 0.832 0.801 0.198
106 O 0.837 0.811 0.917
107 O 0.839 0.034 0.418
108 O 0.839 0.532 0.484
109 O 0.844 0.313 0.982
110 O 0.847 0.503 0.082
111 O 0.857 0.356 0.866
112 O 0.860 0.367 0.584
113 O 0.860 0.500 0.366
114 O 0.969 0.166 0.199
115 O 0.973 0.800 0.695
116 O 0.975 0.163 0.918
117 O 0.975 0.812 0.419

Computed properties:
Total magnetization: 0.0 μB per cell
Calculated total energy: -7.539 eV/atom